Record 1
The following is a PBE with a Hubbard U calculation of a geometry-optimized Li4V3CoO10 structure, from the Materials Project.

Results
Total magnetization = 0.223 μB/atom
Electronic total energy = -118.199 eV per cell
SG = No. 5
DFT formation energy = -216.19 kJ/mol of atoms

Cell lengths 6.6489, 6.6489, 4.6587 Å; angles 90.30, 90.30, 89.88 degrees
Fractional coordinates of all 18 atoms:
Li1 0.0000 0.0000 0.0000
Li2 0.0170 0.4585 0.9664
Li3 0.5259 0.4741 0.0000
Li4 0.5415 0.9830 0.0336
V1 0.2602 0.2443 0.3981
V2 0.2610 0.7390 0.5000
V3 0.7557 0.7398 0.6019
Co1 0.7622 0.2378 0.5000
O1 0.0504 0.7392 0.7190
O2 0.2522 0.2640 0.7588
O3 0.2614 0.5332 0.2671
O4 0.2608 0.9496 0.2810
O5 0.4668 0.7386 0.7329
O6 0.5315 0.2375 0.2663
O7 0.7360 0.7478 0.2412
O8 0.7616 0.0108 0.7395
O9 0.7625 0.4685 0.7337
O10 0.9892 0.2384 0.2605

=====

Record 2
The following is a PBE with a Hubbard U calculation of a geometry-optimized Li2CoW2O8 structure, from the Materials Project.

Results
Total magnetization = 0.000 μB/atom
Electronic total energy = -176.829 eV per cell
DFT formation energy = -207.80 kJ/mol of atoms

Cell lengths 5.7137, 7.8714, 6.7378 Å; angles 76.66, 75.93, 86.87 degrees
Fractional coordinates of all 26 atoms:
O1 0.0275 0.2901 0.2536
O2 0.5274 0.7901 0.7535
O3 0.2173 0.0560 0.0212
O4 0.7174 0.5558 0.5214
O5 0.5970 0.1569 0.6488
O6 0.8879 0.9423 0.3903
O7 0.0969 0.6570 0.1490
O8 0.6121 0.5577 0.1096
O9 0.4031 0.8430 0.3510
O10 0.9726 0.7099 0.7465
O11 0.3878 0.4424 0.8905
O12 0.2827 0.4440 0.4788
O13 0.7826 0.9442 0.9786
O14 0.4725 0.2099 0.2464
O15 0.9030 0.3431 0.8512
O16 0.1122 0.0576 0.6095
W1 0.7726 0.9595 0.7022
W2 0.2275 0.0404 0.2976
W3 0.7274 0.5405 0.7978
W4 0.2725 0.4596 0.2024
Li1 0.1868 0.8548 0.8944
Li2 0.8132 0.1452 0.1057
Li3 0.6868 0.3548 0.3943
Li4 0.3132 0.6452 0.6056
Co1 0.7500 0.7500 0.2500
Co2 0.2500 0.2500 0.7500

=====

Record 3
The following is a PBE with a Hubbard U calculation of a geometry-optimized Li3Co4WO8 structure, from the Materials Project.

Results
Total magnetization = 0.812 μB/atom
Electronic total energy = -98.245 eV per cell
SG = No. 12
DFT formation energy = -169.02 kJ/mol of atoms

Cell lengths 6.0151, 6.0151, 6.1749 Å; angles 120.72, 120.72, 61.56 degrees
Fractional coordinates of all 16 atoms:
Li1 0.0000 0.0000 0.0000
Li2 0.0000 0.5000 0.5000
Li3 0.5000 0.0000 0.5000
Co1 0.0000 0.0000 0.5000
Co2 0.0000 0.5000 0.0000
Co3 0.5000 0.0000 0.0000
Co4 0.5000 0.5000 0.0000
W1 0.5000 0.5000 0.5000
O1 0.2496 0.2496 0.7724
O2 0.2590 0.7345 0.7345
O3 0.2647 0.2647 0.2689
O4 0.2655 0.7410 0.2655
O5 0.7345 0.2590 0.7345
O6 0.7353 0.7353 0.7311
O7 0.7410 0.2655 0.2655
O8 0.7504 0.7504 0.2276

=====

Record 4
The following is a PBE with a Hubbard U calculation of a geometry-optimized LiZnCo4O8 structure, from the Materials Project.

Results
E above lowest polymorph = 90 meV/atom
Total magnetization = 0.808 μB/atom
Electronic total energy = -75.738 eV per cell
SG = No. 1
DFT formation energy = -114.40 kJ/mol of atoms

Cell lengths 2.9051, 7.3982, 7.4543 Å; angles 97.15, 101.19, 101.32 degrees
Fractional coordinates of all 14 atoms:
Li1 0.0000 0.0000 0.0000
Zn1 0.4999 0.6730 0.3379
Co1 0.1813 0.0449 0.3284
Co2 0.3067 0.6684 0.9575
Co3 0.6570 0.3202 0.0086
Co4 0.8116 0.9694 0.6665
O1 0.1360 0.4097 0.8768
O2 0.1530 0.8164 0.4998
O3 0.1873 0.2428 0.1478
O4 0.4560 0.0908 0.8344
O5 0.5378 0.9102 0.1748
O6 0.7938 0.7668 0.8336
O7 0.8035 0.1336 0.4840
O8 0.8523 0.5669 0.1503